[1]
The following is a DFT calculation (r²SCAN) of MgZn3S4 after structural relaxation. Values from VASP.

The structure in Quantum ESPRESSO input format:
```
&SYSTEM
  ibrav = 0, nat = 8, ntyp = 3
/
ATOMIC_SPECIES
Mg 24.30 Mg.upf
Zn 65.41 Zn.upf
S 32.06 S.upf
ATOMIC_POSITIONS crystal
Mg 0.5000 0.5000 0.5000
Zn 0.0000 0.0000 0.5000
Zn 0.0000 0.5000 0.0000
Zn 0.5000 0.0000 0.0000
S 0.7563 0.7563 0.2437
S 0.7563 0.2437 0.7563
S 0.2437 0.7563 0.7563
S 0.2437 0.2437 0.2437
CELL_PARAMETERS angstrom
5.4548 0.0000 0.0000
0.0000 5.4548 0.0000
0.0000 0.0000 5.4548
```

## Properties
Calculated formation energy, eV per formula unit: -8.94
Total DFT energy (no corrections), Ry/atom: -0.661
Space group: P-43m
Volume, Å³/atom: 20.29



[2]
The following is a DFT calculation (r²SCAN) of CuS after structural relaxation. Values from VASP.

The structure in Quantum ESPRESSO input format:
```
&SYSTEM
  ibrav = 0, nat = 12, ntyp = 2
/
ATOMIC_SPECIES
Cu 63.55 Cu.upf
S 32.06 S.upf
ATOMIC_POSITIONS crystal
Cu 0.3333 0.6667 0.3937
Cu 0.6667 0.3333 0.8937
Cu 0.6667 0.3333 0.6063
Cu 0.3333 0.6667 0.1063
Cu 0.6667 0.3333 0.2500
Cu 0.3333 0.6667 0.7500
S 0.0000 0.0000 0.4359
S 0.0000 0.0000 0.9359
S 0.0000 0.0000 0.5641
S 0.0000 0.0000 0.0641
S 0.6667 0.3333 0.7500
S 0.3333 0.6667 0.2500
CELL_PARAMETERS angstrom
3.7679 0.0000 0.0000
-1.8839 3.2631 0.0000
0.0000 0.0000 16.3266
```

## Properties
Calculated formation energy, eV per formula unit: -0.56
Total DFT energy (no corrections), Ry/atom: -0.714
Space group: P6_3/mmc
Volume, Å³/atom: 16.73



[3]
The following is a DFT calculation (r²SCAN) of YTaO4 after structural relaxation. Values from VASP.

The structure in Quantum ESPRESSO input format:
```
&SYSTEM
  ibrav = 0, nat = 12, ntyp = 3
/
ATOMIC_SPECIES
Y 88.91 Y.upf
Ta 180.95 Ta.upf
O 16.00 O.upf
ATOMIC_POSITIONS crystal
Y 0.0000 0.7500 0.2338
Y 0.0000 0.2500 0.7662
Ta 0.5000 0.7500 0.6949
Ta 0.5000 0.2500 0.3051
O 0.2510 0.5986 0.9167
O 0.7490 0.9014 0.9167
O 0.7490 0.4014 0.0833
O 0.2510 0.0986 0.0833
O 0.2679 0.4928 0.4369
O 0.7321 0.0072 0.4369
O 0.7321 0.5072 0.5631
O 0.2679 0.9928 0.5631
CELL_PARAMETERS angstrom
5.1165 -0.0009 0.0000
-0.5962 5.2768 0.0000
0.0000 0.0000 5.4615
```

## Properties
Calculated formation energy, eV per formula unit: -21.43
Total DFT energy (no corrections), Ry/atom: -1.399
Space group: P2/c
Volume, Å³/atom: 12.29



[4]
The following is a DFT calculation (r²SCAN) of NaHoF4 after structural relaxation. Values from VASP.

The structure in Quantum ESPRESSO input format:
```
&SYSTEM
  ibrav = 0, nat = 6, ntyp = 3
/
ATOMIC_SPECIES
Na 22.99 Na.upf
Ho 164.93 Ho.upf
F 19.00 F.upf
ATOMIC_POSITIONS crystal
Na 0.0000 0.0000 0.0000
Ho 0.5000 0.5000 0.5000
F 0.5000 0.0000 0.7327
F 0.0000 0.5000 0.2673
F 0.5000 0.0000 0.2673
F 0.0000 0.5000 0.7327
CELL_PARAMETERS angstrom
3.7598 0.0000 0.0000
0.0000 3.7598 0.0000
0.0000 0.0000 5.4107
```

## Properties
Calculated formation energy, eV per formula unit: -23.99
Total DFT energy (no corrections), Ry/atom: -0.894
Space group: P4/mmm
Volume, Å³/atom: 12.75



[5]
The following is a DFT calculation (r²SCAN) of Yb2TlPb after structural relaxation. Values from VASP.

The structure in Quantum ESPRESSO input format:
```
&SYSTEM
  ibrav = 0, nat = 4, ntyp = 3
/
ATOMIC_SPECIES
Yb 173.04 Yb.upf
Tl 204.38 Tl.upf
Pb 207.20 Pb.upf
ATOMIC_POSITIONS crystal
Yb 0.2500 0.2500 0.2500
Yb 0.7500 0.7500 0.7500
Tl 0.0000 0.0000 0.0000
Pb 0.5000 0.5000 0.5000
CELL_PARAMETERS angstrom
0.0000 3.7506 3.7506
3.7506 0.0000 3.7506
3.7506 3.7506 0.0000
```

## Properties
Calculated formation energy, eV per formula unit: -1.55
Total DFT energy (no corrections), Ry/atom: -3.382
Space group: Fm-3m
Volume, Å³/atom: 26.38



[6]
The following is a DFT calculation (r²SCAN) of BaGa2 after structural relaxation. Values from VASP.

The structure in Quantum ESPRESSO input format:
```
&SYSTEM
  ibrav = 0, nat = 3, ntyp = 2
/
ATOMIC_SPECIES
Ba 137.33 Ba.upf
Ga 69.72 Ga.upf
ATOMIC_POSITIONS crystal
Ba 0.0000 0.0000 0.0000
Ga 0.3333 0.6667 0.5000
Ga 0.6667 0.3333 0.5000
CELL_PARAMETERS angstrom
-1.4012 4.0553 0.9866
-2.8117 -3.3861 0.1022
1.1603 -0.8129 4.9892
```

## Properties
Calculated formation energy, eV per formula unit: -1.63
Total DFT energy (no corrections), Ry/atom: -1.250
Space group: P6/mmm
Volume, Å³/atom: 29.02



[7]
The following is a DFT calculation (r²SCAN) of FeCl4 after structural relaxation. Values from VASP.

The structure in Quantum ESPRESSO input format:
```
&SYSTEM
  ibrav = 0, nat = 10, ntyp = 2
/
ATOMIC_SPECIES
Fe 55.84 Fe.upf
Cl 35.45 Cl.upf
ATOMIC_POSITIONS crystal
Fe 0.5000 0.0000 0.5000
Fe 0.5000 0.5000 0.5000
Cl 0.9655 0.7329 0.2673
Cl 0.9655 0.2327 0.2673
Cl 0.5000 0.2500 0.7165
Cl 0.5000 0.2500 0.2836
Cl 0.0345 0.2671 0.7327
Cl 0.0345 0.7673 0.7327
Cl 0.5000 0.7500 0.2835
Cl 0.5000 0.7500 0.7164
CELL_PARAMETERS angstrom
6.6825 -1.8588 -0.0115
-3.6863 -0.0673 -5.9418
5.5238 4.0394 -3.4727
```

## Properties
Calculated formation energy, eV per formula unit: -3.24
Total DFT energy (no corrections), Ry/atom: -0.621
Volume, Å³/atom: 24.69



[8]
The following is a DFT calculation (r²SCAN) of Ta2Pd3Se8 after structural relaxation. Values from VASP.

The structure in Quantum ESPRESSO input format:
```
&SYSTEM
  ibrav = 0, nat = 26, ntyp = 3
/
ATOMIC_SPECIES
Ta 180.95 Ta.upf
Pd 106.42 Pd.upf
Se 78.96 Se.upf
ATOMIC_POSITIONS crystal
Ta 0.5000 0.6959 0.3750
Ta 0.5000 0.3041 0.6250
Ta 0.5000 0.1959 0.1250
Ta 0.5000 0.8041 0.8750
Pd 0.0000 0.8523 0.2751
Pd 0.0000 0.1477 0.7249
Pd 0.0000 0.3523 0.2249
Pd 0.0000 0.6477 0.7751
Pd 0.0000 0.5000 0.5000
Pd 0.0000 0.0000 0.0000
Se 0.5000 0.9257 0.3724
Se 0.5000 0.0743 0.6276
Se 0.5000 0.4257 0.1276
Se 0.5000 0.5743 0.8724
Se 0.5000 0.7261 0.2113
Se 0.5000 0.2739 0.7887
Se 0.5000 0.2261 0.2887
Se 0.5000 0.7739 0.7113
Se 0.0000 0.5276 0.3433
Se 0.0000 0.4724 0.6567
Se 0.0000 0.7793 0.9975
Se 0.0000 0.2207 0.0025
Se 0.0000 0.2793 0.5025
Se 0.0000 0.7207 0.4975
Se 0.0000 0.9724 0.8433
Se 0.0000 0.0276 0.1567
CELL_PARAMETERS angstrom
3.5829 0.0000 0.0000
0.0000 11.1261 0.0000
0.0000 0.0000 15.4747
```

## Properties
Calculated formation energy, eV per formula unit: -9.25
Total DFT energy (no corrections), Ry/atom: -1.638
Space group: Pbam
Volume, Å³/atom: 23.73



[9]
The following is a DFT calculation (r²SCAN) of PaO2 after structural relaxation. Values from VASP.

The structure in Quantum ESPRESSO input format:
```
&SYSTEM
  ibrav = 0, nat = 3, ntyp = 2
/
ATOMIC_SPECIES
Pa 231.04 Pa.upf
O 16.00 O.upf
ATOMIC_POSITIONS crystal
Pa 0.0000 0.0000 0.0000
O 0.2500 0.2500 0.2500
O 0.7500 0.7500 0.7500
CELL_PARAMETERS angstrom
3.3278 0.0000 1.9213
1.1093 3.1374 1.9213
0.0000 0.0000 3.8426
```

## Properties
Calculated formation energy, eV per formula unit: -11.63
Total DFT energy (no corrections), Ry/atom: -2.460
Space group: Fm-3m
Volume, Å³/atom: 13.37



[10]
The following is a DFT calculation (r²SCAN) of VOF after structural relaxation. Values from VASP.

The structure in Quantum ESPRESSO input format:
```
&SYSTEM
  ibrav = 0, nat = 12, ntyp = 3
/
ATOMIC_SPECIES
V 50.94 V.upf
O 16.00 O.upf
F 19.00 F.upf
ATOMIC_POSITIONS crystal
V 0.9702 0.9702 0.0000
V 0.0298 0.0298 0.5000
V 0.5297 0.4703 0.2500
V 0.4703 0.5297 0.7500
O 0.1827 0.8173 0.7500
O 0.3173 0.3173 0.5000
O 0.6827 0.6826 0.0000
O 0.8173 0.1827 0.2500
F 0.2091 0.7909 0.2500
F 0.2908 0.2909 0.0000
F 0.7092 0.7091 0.5000
F 0.7909 0.2091 0.7500
CELL_PARAMETERS angstrom
-2.3284 2.3136 3.2682
0.9545 -3.3510 3.0520
5.1436 2.9200 1.5974
```

## Properties
Calculated formation energy, eV per formula unit: -8.77
Total DFT energy (no corrections), Ry/atom: -0.783
Space group: P4_12_12
Volume, Å³/atom: 10.95



[11]
The following is a DFT calculation (r²SCAN) of BaAg2O2 after structural relaxation. Values from VASP.

The structure in Quantum ESPRESSO input format:
```
&SYSTEM
  ibrav = 0, nat = 10, ntyp = 3
/
ATOMIC_SPECIES
Ba 137.33 Ba.upf
Ag 107.87 Ag.upf
O 16.00 O.upf
ATOMIC_POSITIONS crystal
Ba 0.5000 0.5000 0.0000
Ba 0.2500 0.7500 0.5000
Ag 0.3750 0.1250 0.2500
Ag 0.8750 0.1250 0.2500
Ag 0.8750 0.6250 0.7500
Ag 0.8750 0.1250 0.7500
O 0.0098 0.5098 0.5000
O 0.2598 0.2598 0.0000
O 0.7402 0.7402 0.0000
O 0.4902 0.9902 0.5000
CELL_PARAMETERS angstrom
6.8463 -0.1520 0.1174
1.6585 -3.1273 5.8633
-4.3004 -2.0246 -4.9311
```

## Properties
Calculated formation energy, eV per formula unit: -6.28
Total DFT energy (no corrections), Ry/atom: -1.285
Space group: I4_1/amd
Volume, Å³/atom: 18.75



[12]
The following is a DFT calculation (r²SCAN) of TiNb2O7 after structural relaxation. Values from VASP.

The structure in Quantum ESPRESSO input format:
```
&SYSTEM
  ibrav = 0, nat = 30, ntyp = 3
/
ATOMIC_SPECIES
Ti 47.87 Ti.upf
Nb 92.91 Nb.upf
O 16.00 O.upf
ATOMIC_POSITIONS crystal
Ti 0.7060 0.7060 0.3611
Ti 0.3019 0.3019 0.6350
Ti 0.9227 0.9227 0.6322
Nb 0.8172 0.8172 0.9959
Nb 0.1841 0.1841 0.9956
Nb 0.1206 0.1206 0.6244
Nb 0.8829 0.8829 0.3727
Nb 0.9999 0.9999 0.9959
Nb 0.0748 0.0748 0.3719
O 0.9498 0.9498 0.1983
O 0.0505 0.0505 0.8024
O 0.6294 0.6294 0.5753
O 0.3707 0.3707 0.4238
O 0.2897 0.2897 0.0032
O 0.7081 0.7081 0.9994
O 0.0991 0.0991 0.9849
O 0.8996 0.8996 0.0167
O 0.7494 0.7494 0.1928
O 0.2499 0.2499 0.8074
O 0.8267 0.8267 0.5974
O 0.1738 0.1738 0.4036
O 0.9732 0.9732 0.4191
O 0.0227 0.0227 0.5815
O 0.1243 0.1243 0.1908
O 0.8740 0.8740 0.8099
O 0.4015 0.4015 0.6245
O 0.5981 0.5981 0.3777
O 0.4985 0.4985 0.0068
O 0.2111 0.2111 0.6209
O 0.7897 0.7897 0.3789
CELL_PARAMETERS angstrom
1.9203 10.3591 -0.0125
-1.9203 10.3591 -0.0125
0.0000 6.1364 10.3039
```

## Properties
Calculated formation energy, eV per formula unit: -28.96
Total DFT energy (no corrections), Ry/atom: -0.979
Space group: Cm
Volume, Å³/atom: 13.67



- What is the formula in the second record?
  CuS